1.
Compound: Li4Mn5Fe4O18
Source: the Materials Project database
Functional: PBE+U
Structure: relaxed

Geometry as CIF:
```
data_Li4Mn5Fe4O18
_symmetry_space_group_name_H-M 'P 1 m 1'
_symmetry_Int_Tables_number 6
_cell_length_a 9.118
_cell_length_b 2.910
_cell_length_c 24.910
_cell_angle_alpha 90.00
_cell_angle_beta 90.18
_cell_angle_gamma 90.00
loop_
_symmetry_equiv_pos_as_xyz
'x,y,z'
'x,-y,z'
loop_
_atom_site_label
_atom_site_fract_x
_atom_site_fract_y
_atom_site_fract_z
_atom_site_occupancy
Li1 0.000 0.000 0.000 1
Li2 0.028 0.000 0.790 1
Li3 0.383 0.000 0.803 1
Li4 0.412 0.000 0.593 1
Li5 0.494 0.000 0.090 1
Li6 0.527 0.000 0.302 1
Li7 0.885 0.000 0.290 1
Li8 0.914 0.000 0.501 1
Mn1 0.057 0.500 0.606 1
Mn2 0.200 0.000 0.901 1
Mn3 0.207 0.000 0.296 1
Mn4 0.214 0.000 0.692 1
Mn5 0.355 0.500 0.988 1
Mn6 0.559 0.500 0.488 1
Mn7 0.700 0.000 0.191 1
Mn8 0.708 0.000 0.795 1
Mn9 0.712 0.000 0.401 1
Mn10 0.857 0.500 0.105 1
Fe1 0.058 0.500 0.385 1
Fe2 0.187 0.000 0.105 1
Fe3 0.219 0.000 0.490 1
Fe4 0.352 0.500 0.207 1
Fe5 0.558 0.500 0.708 1
Fe6 0.692 0.000 0.991 1
Fe7 0.719 0.000 0.604 1
Fe8 0.855 0.500 0.885 1
O1 0.002 0.000 0.877 1
O2 0.021 0.000 0.655 1
O3 0.054 0.500 0.079 1
O4 0.064 0.500 0.300 1
O5 0.088 0.500 0.465 1
O6 0.103 0.000 0.558 1
O7 0.157 0.500 0.955 1
O8 0.164 0.500 0.738 1
O9 0.203 0.000 0.375 1
O10 0.208 0.000 0.219 1
O11 0.250 0.500 0.855 1
O12 0.254 0.500 0.638 1
O13 0.310 0.000 0.035 1
O14 0.322 0.500 0.129 1
O15 0.349 0.500 0.293 1
O16 0.357 0.500 0.513 1
O17 0.391 0.000 0.938 1
O18 0.409 0.000 0.715 1
O19 0.502 0.000 0.214 1
O20 0.520 0.000 0.439 1
O21 0.555 0.500 0.013 1
O22 0.565 0.500 0.792 1
O23 0.589 0.500 0.629 1
O24 0.603 0.000 0.536 1
O25 0.659 0.500 0.355 1
O26 0.660 0.500 0.138 1
O27 0.703 0.000 0.717 1
O28 0.711 0.000 0.872 1
O29 0.751 0.500 0.238 1
O30 0.753 0.500 0.455 1
O31 0.813 0.000 0.057 1
O32 0.819 0.500 0.963 1
O33 0.850 0.500 0.798 1
O34 0.858 0.500 0.582 1
O35 0.894 0.000 0.155 1
O36 0.908 0.000 0.378 1
```

## Properties
ΔE_f   -57.11 eV per formula unit
Energy above the lowest structure with this stoichiometry   0.146 eV per formula unit

=====

2.
Compound: Li4MnFe5O12
Source: the Materials Project database
Functional: PBE+U
Structure: relaxed

Geometry as CIF:
```
data_Li4MnFe5O12
_symmetry_space_group_name_H-M 'C 1 2 1'
_symmetry_Int_Tables_number 5
_cell_length_a 5.131
_cell_length_b 8.859
_cell_length_c 10.223
_cell_angle_alpha 90.00
_cell_angle_beta 90.68
_cell_angle_gamma 90.00
loop_
_symmetry_equiv_pos_as_xyz
'x,y,z'
'-x,y,-z'
'x+1/2,y+1/2,z'
'-x+1/2,y+1/2,-z'
loop_
_atom_site_label
_atom_site_fract_x
_atom_site_fract_y
_atom_site_fract_z
_atom_site_occupancy
Li1 0.102 0.000 0.249 1
Li2 0.106 0.493 0.251 1
Mn1 0.000 0.750 0.500 1
Fe1 0.000 0.088 0.500 1
Fe2 0.000 0.252 0.000 1
Fe3 0.000 0.413 0.500 1
Fe4 0.000 0.589 0.000 1
Fe5 0.000 0.916 0.000 1
O1 0.151 0.071 0.895 1
O2 0.156 0.585 0.608 1
O3 0.156 0.916 0.607 1
O4 0.163 0.762 0.902 1
O5 0.172 0.424 0.895 1
O6 0.186 0.250 0.599 1
```

## Properties
ΔE_f   -38.97 eV per formula unit
Energy above the lowest structure with this stoichiometry   0.000 eV per formula unit

=====

3.
Compound: Li5Mn7Fe3O20
Source: the Materials Project database
Functional: PBE+U
Structure: relaxed

Geometry as CIF:
```
data_Li5Mn7Fe3O20
_symmetry_space_group_name_H-M 'P 1'
_symmetry_Int_Tables_number 1
_cell_length_a 5.767
_cell_length_b 5.768
_cell_length_c 24.056
_cell_angle_alpha 96.68
_cell_angle_beta 90.23
_cell_angle_gamma 119.74
loop_
_symmetry_equiv_pos_as_xyz
'x,y,z'
loop_
_atom_site_label
_atom_site_fract_x
_atom_site_fract_y
_atom_site_fract_z
_atom_site_occupancy
Li1 0.000 0.000 0.000 1
Li2 0.045 0.092 0.147 1
Li3 0.196 0.396 0.598 1
Li4 0.247 0.490 0.746 1
Li5 0.397 0.797 0.200 1
Li6 0.444 0.895 0.349 1
Li7 0.590 0.197 0.800 1
Li8 0.648 0.293 0.947 1
Li9 0.795 0.599 0.399 1
Li10 0.848 0.694 0.547 1
Mn1 0.023 0.546 0.072 1
Mn2 0.118 0.246 0.374 1
Mn3 0.118 0.743 0.875 1
Mn4 0.120 0.244 0.875 1
Mn5 0.216 0.941 0.672 1
Mn6 0.318 0.644 0.474 1
Mn7 0.421 0.349 0.275 1
Mn8 0.519 0.044 0.573 1
Mn9 0.522 0.045 0.072 1
Mn10 0.523 0.545 0.072 1
Mn11 0.619 0.744 0.876 1
Mn12 0.720 0.442 0.672 1
Mn13 0.818 0.145 0.474 1
Mn14 0.921 0.846 0.275 1
Fe1 0.318 0.145 0.474 1
Fe2 0.321 0.644 0.974 1
Fe3 0.718 0.940 0.672 1
Fe4 0.729 0.444 0.175 1
Fe5 0.915 0.850 0.772 1
Fe6 0.918 0.346 0.275 1
O1 0.005 0.459 0.922 1
O2 0.050 0.641 0.232 1
O3 0.055 0.112 0.715 1
O4 0.055 0.650 0.716 1
O5 0.073 0.150 0.233 1
O6 0.164 0.340 0.515 1
O7 0.191 0.830 0.026 1
O8 0.192 0.384 0.026 1
O9 0.205 0.859 0.521 1
O10 0.242 0.032 0.830 1
O11 0.249 0.507 0.323 1
O12 0.252 0.064 0.323 1
O13 0.272 0.548 0.832 1
O14 0.371 0.741 0.115 1
O15 0.386 0.781 0.624 1
O16 0.387 0.227 0.624 1
O17 0.397 0.255 0.117 1
O18 0.433 0.430 0.427 1
O19 0.449 0.905 0.922 1
O20 0.450 0.458 0.922 1
O21 0.472 0.948 0.432 1
O22 0.564 0.136 0.714 1
O23 0.581 0.176 0.231 1
O24 0.587 0.639 0.231 1
O25 0.594 0.648 0.716 1
O26 0.637 0.830 0.026 1
O27 0.651 0.307 0.521 1
O28 0.651 0.859 0.521 1
O29 0.676 0.351 0.030 1
O30 0.765 0.542 0.317 1
O31 0.782 0.035 0.831 1
O32 0.785 0.577 0.831 1
O33 0.805 0.061 0.323 1
O34 0.832 0.224 0.624 1
O35 0.856 0.713 0.117 1
O36 0.857 0.254 0.117 1
O37 0.871 0.745 0.629 1
O38 0.967 0.938 0.917 1
O39 0.985 0.983 0.427 1
O40 0.986 0.431 0.427 1
```

## Properties
ΔE_f   -67.59 eV per formula unit
Energy above the lowest structure with this stoichiometry   2.059 eV per formula unit

=====

4.
Compound: Li3Mn5FeO12
Source: the Materials Project database
Functional: PBE+U
Structure: relaxed

Geometry as CIF:
```
data_Li3Mn5FeO12
_symmetry_space_group_name_H-M 'C 1 2/c 1'
_symmetry_Int_Tables_number 15
_cell_length_a 8.296
_cell_length_b 8.628
_cell_length_c 13.010
_cell_angle_alpha 90.00
_cell_angle_beta 107.58
_cell_angle_gamma 90.00
loop_
_symmetry_equiv_pos_as_xyz
'x,y,z'
'-x,-y,-z'
'-x,y,-z+1/2'
'x,-y,z+1/2'
'x+1/2,y+1/2,z'
'-x+1/2,-y+1/2,-z'
'-x+1/2,y+1/2,-z+1/2'
'x+1/2,-y+1/2,z+1/2'
loop_
_atom_site_label
_atom_site_fract_x
_atom_site_fract_y
_atom_site_fract_z
_atom_site_occupancy
Li1 0.000 0.115 0.250 1
Li2 0.165 0.382 0.083 1
Mn1 0.085 0.248 0.668 1
Mn2 0.166 0.499 0.333 1
Mn3 0.250 0.250 0.500 1
Fe1 0.000 0.000 0.000 1
O1 0.019 0.240 0.509 1
O2 0.075 0.475 0.674 1
O3 0.095 0.023 0.662 1
O4 0.144 0.247 0.823 1
O5 0.189 0.246 0.344 1
O6 0.248 0.023 0.509 1
```

## Properties
ΔE_f   -42.54 eV per formula unit

=====

5.
Compound: Li7Mn2Fe6P8O32
Source: the Materials Project database
Functional: PBE+U
Structure: relaxed

Geometry as CIF:
```
data_Li7Mn2Fe6P8O32
_symmetry_space_group_name_H-M 'P 1'
_symmetry_Int_Tables_number 1
_cell_length_a 7.738
_cell_length_b 7.762
_cell_length_c 10.405
_cell_angle_alpha 90.25
_cell_angle_beta 90.29
_cell_angle_gamma 103.77
loop_
_symmetry_equiv_pos_as_xyz
'x,y,z'
loop_
_atom_site_label
_atom_site_fract_x
_atom_site_fract_y
_atom_site_fract_z
_atom_site_occupancy
Li1 0.000 0.000 0.000 1
Li2 0.003 0.501 0.510 1
Li3 0.252 0.755 0.999 1
Li4 0.490 0.010 0.504 1
Li5 0.501 0.507 0.999 1
Li6 0.745 0.255 0.000 1
Li7 0.750 0.751 0.505 1
Mn1 0.138 0.893 0.287 1
Mn2 0.635 0.391 0.287 1
Fe1 0.133 0.385 0.229 1
Fe2 0.360 0.612 0.721 1
Fe3 0.361 0.119 0.779 1
Fe4 0.641 0.895 0.221 1
Fe5 0.861 0.615 0.782 1
Fe6 0.862 0.118 0.721 1
P1 0.085 0.340 0.913 1
P2 0.085 0.836 0.600 1
P3 0.411 0.170 0.094 1
P4 0.418 0.675 0.404 1
P5 0.583 0.338 0.598 1
P6 0.584 0.840 0.910 1
P7 0.916 0.664 0.095 1
P8 0.921 0.174 0.410 1
O1 0.021 0.775 0.461 1
O2 0.027 0.282 0.055 1
O3 0.082 0.621 0.167 1
O4 0.084 0.146 0.328 1
O5 0.114 0.664 0.669 1
O6 0.116 0.170 0.845 1
O7 0.246 0.500 0.910 1
O8 0.249 0.989 0.604 1
O9 0.252 0.008 0.095 1
O10 0.254 0.519 0.386 1
O11 0.368 0.336 0.166 1
O12 0.390 0.848 0.338 1
O13 0.416 0.875 0.839 1
O14 0.424 0.376 0.676 1
O15 0.471 0.725 0.545 1
O16 0.476 0.236 0.959 1
O17 0.522 0.777 0.048 1
O18 0.530 0.276 0.460 1
O19 0.578 0.138 0.168 1
O20 0.589 0.642 0.337 1
O21 0.620 0.170 0.669 1
O22 0.620 0.673 0.839 1
O23 0.746 0.001 0.910 1
O24 0.746 0.500 0.600 1
O25 0.753 0.507 0.096 1
O26 0.761 0.013 0.402 1
O27 0.884 0.831 0.169 1
O28 0.894 0.345 0.335 1
O29 0.915 0.373 0.845 1
O30 0.917 0.874 0.670 1
O31 0.972 0.234 0.548 1
O32 0.981 0.730 0.959 1
```

## Properties
ΔE_f   -137.24 eV per formula unit

=====

6.
Compound: Li6MnFe3P6O24
Source: the Materials Project database
Functional: PBE+U
Structure: relaxed

Geometry as CIF:
```
data_Li6MnFe3P6O24
_symmetry_space_group_name_H-M 'P 1'
_symmetry_Int_Tables_number 1
_cell_length_a 8.513
_cell_length_b 8.540
_cell_length_c 8.688
_cell_angle_alpha 61.24
_cell_angle_beta 62.19
_cell_angle_gamma 62.10
loop_
_symmetry_equiv_pos_as_xyz
'x,y,z'
loop_
_atom_site_label
_atom_site_fract_x
_atom_site_fract_y
_atom_site_fract_z
_atom_site_occupancy
Li1 0.000 0.000 0.000 1
Li2 0.103 0.914 0.499 1
Li3 0.247 0.638 0.858 1
Li4 0.404 0.402 0.201 1
Li5 0.594 0.825 0.609 1
Li6 0.742 0.183 0.370 1
Mn1 0.610 0.013 0.204 1
Fe1 0.105 0.513 0.720 1
Fe2 0.401 0.810 0.003 1
Fe3 0.890 0.306 0.503 1
P1 0.002 0.707 0.315 1
P2 0.204 0.210 0.108 1
P3 0.291 0.116 0.608 1
P4 0.501 0.614 0.403 1
P5 0.705 0.409 0.897 1
P6 0.807 0.910 0.803 1
O1 0.000 0.754 0.776 1
O2 0.023 0.204 0.276 1
O3 0.050 0.694 0.472 1
O4 0.136 0.132 0.552 1
O5 0.160 0.728 0.124 1
O6 0.182 0.402 0.951 1
O7 0.236 0.286 0.661 1
O8 0.247 0.049 0.044 1
O9 0.316 0.925 0.772 1
O10 0.335 0.611 0.584 1
O11 0.368 0.180 0.164 1
O12 0.444 0.648 0.241 1
O13 0.484 0.104 0.455 1
O14 0.510 0.565 0.925 1
O15 0.558 0.780 0.367 1
O16 0.644 0.847 0.843 1
O17 0.661 0.426 0.421 1
O18 0.688 0.243 0.089 1
O19 0.741 0.357 0.736 1
O20 0.784 0.968 0.955 1
O21 0.821 0.067 0.609 1
O22 0.837 0.897 0.286 1
O23 0.865 0.466 0.866 1
O24 0.957 0.534 0.361 1
```

## Properties
ΔE_f   -99.01 eV per formula unit

=====

7.
Compound: Li8MnFe7P8O32
Source: the Materials Project database
Functional: PBE+U
Structure: relaxed

Geometry as CIF:
```
data_Li8MnFe7P8O32
_symmetry_space_group_name_H-M 'P 1 m 1'
_symmetry_Int_Tables_number 6
_cell_length_a 4.756
_cell_length_b 12.180
_cell_length_c 10.458
_cell_angle_alpha 90.00
_cell_angle_beta 90.03
_cell_angle_gamma 90.00
loop_
_symmetry_equiv_pos_as_xyz
'x,y,z'
'x,-y,z'
loop_
_atom_site_label
_atom_site_fract_x
_atom_site_fract_y
_atom_site_fract_z
_atom_site_occupancy
Li1 0.000 0.125 0.000 1
Li2 0.000 0.374 0.000 1
Li3 0.500 0.125 0.500 1
Li4 0.500 0.375 0.499 1
Mn1 0.476 0.500 0.781 1
Fe1 0.026 0.000 0.281 1
Fe2 0.026 0.500 0.281 1
Fe3 0.473 0.000 0.782 1
Fe4 0.526 0.250 0.218 1
Fe5 0.974 0.249 0.718 1
P1 0.082 0.250 0.405 1
P2 0.416 0.249 0.906 1
P3 0.582 0.000 0.094 1
P4 0.583 0.500 0.095 1
P5 0.917 0.000 0.594 1
P6 0.918 0.500 0.592 1
O1 0.207 0.250 0.543 1
O2 0.216 0.148 0.335 1
O3 0.216 0.352 0.335 1
O4 0.240 0.000 0.597 1
O5 0.241 0.500 0.595 1
O6 0.260 0.000 0.097 1
O7 0.260 0.500 0.097 1
O8 0.277 0.350 0.835 1
O9 0.283 0.147 0.835 1
O10 0.293 0.249 0.044 1
O11 0.707 0.000 0.957 1
O12 0.710 0.500 0.958 1
O13 0.716 0.102 0.165 1
O14 0.716 0.398 0.166 1
O15 0.738 0.250 0.903 1
O16 0.760 0.250 0.403 1
O17 0.783 0.102 0.665 1
O18 0.787 0.398 0.663 1
O19 0.791 0.500 0.455 1
O20 0.793 0.000 0.457 1
```

## Properties
ΔE_f   -139.87 eV per formula unit

=====

8.
Compound: Li4Mn3FeP4O16
Source: the Materials Project database
Functional: PBE+U
Structure: relaxed

Geometry as CIF:
```
data_Li4Mn3FeP4O16
_symmetry_space_group_name_H-M 'C 1 m 1'
_symmetry_Int_Tables_number 8
_cell_length_a 21.043
_cell_length_b 12.307
_cell_length_c 4.788
_cell_angle_alpha 90.00
_cell_angle_beta 90.25
_cell_angle_gamma 90.00
loop_
_symmetry_equiv_pos_as_xyz
'x,y,z'
'x,-y,z'
'x+1/2,y+1/2,z'
'x+1/2,-y+1/2,z'
loop_
_atom_site_label
_atom_site_fract_x
_atom_site_fract_y
_atom_site_fract_z
_atom_site_occupancy
Li1 0.000 0.124 0.000 1
Li2 0.000 0.375 0.000 1
Li3 0.250 0.125 0.500 1
Li4 0.250 0.375 0.500 1
Mn1 0.109 0.500 0.473 1
Mn2 0.141 0.249 0.973 1
Mn3 0.359 0.000 0.026 1
Mn4 0.391 0.251 0.527 1
Fe1 0.109 0.000 0.471 1
Fe2 0.359 0.500 0.028 1
P1 0.046 0.249 0.413 1
P2 0.203 0.000 0.910 1
P3 0.204 0.500 0.912 1
P4 0.296 0.251 0.087 1
P5 0.453 0.500 0.589 1
P6 0.454 0.000 0.589 1
O1 0.022 0.000 0.708 1
O2 0.022 0.500 0.712 1
O3 0.048 0.251 0.733 1
O4 0.081 0.147 0.284 1
O5 0.081 0.349 0.279 1
O6 0.168 0.101 0.775 1
O7 0.169 0.399 0.778 1
O8 0.201 0.000 0.231 1
O9 0.202 0.500 0.233 1
O10 0.228 0.251 0.211 1
O11 0.272 0.000 0.790 1
O12 0.273 0.500 0.792 1
O13 0.298 0.250 0.766 1
O14 0.331 0.150 0.222 1
O15 0.331 0.353 0.216 1
O16 0.419 0.101 0.721 1
O17 0.419 0.399 0.725 1
O18 0.451 0.500 0.268 1
O19 0.452 0.000 0.268 1
O20 0.478 0.251 0.288 1
```

## Properties
ΔE_f   -72.60 eV per formula unit